Computed, not measured: a relaxed Co6O5F7 crystal at the GGA+U level of DFT.

Computed properties:
energy relative to the lowest polymorph listed for this composition	10	meV/atom
M_tot	0.722	μB/atom
calculated total energy	-5.28	eV per atom
E (MP2020)	-111.515	eV/cell

Cell lengths 5.5838, 5.5838, 7.6705 Å; angles 68.20, 68.20, 68.06 degrees
Last column: nearest neighbours and their distance in Å.
Fractional positions:
1 F 0.5634 0.8952 0.4641  3 Co 2.02-2.17
2 Co 0.0150 0.3400 0.3218  3 O 1.90-1.96, 2 F 2.07-2.12
3 O 0.0197 0.9803 0.5000  3 Co 1.78-1.96
4 F 0.8990 0.2314 0.1334  3 Co 2.02-2.12
5 O 0.3720 0.3088 0.1595  3 Co 1.88-1.92
6 Co 0.6745 0.9982 0.1642  2 O 1.91-1.92, 4 F 2.02-2.06
7 Co 0.0018 0.3255 0.8358  2 O 1.91-1.92, 4 F 2.02-2.06
8 F 0.1048 0.4366 0.5359  3 Co 2.02-2.17
9 Co 0.3042 0.6958 0.5000  1 O 1.78
10 F 0.2348 0.5601 0.7898  3 Co 2.00-2.21
11 Co 0.3379 0.6621 0.0000  4 O 1.88
12 O 0.3020 0.0161 0.8405  3 Co 1.88-1.91
13 F 0.6274 0.3726 0.5000  3 Co 2.02-2.07
14 O 0.6912 0.6280 0.8405  3 Co 1.88-1.92
15 F 0.4399 0.7652 0.2102  3 Co 2.00-2.21
16 Co 0.6600 0.9850 0.6782  3 O 1.90-1.96, 2 F 2.07-2.12
17 F 0.7686 0.1010 0.8666  3 Co 2.02-2.12
18 O 0.9839 0.6980 0.1595  3 Co 1.88-1.91